# 1
Rb15Hg16: relaxed, PBE.

Properties
crystal system = tetragonal
space group = No. 88

a b c (Å): 15.3377 15.3377 15.3377
angles (deg): 111.73 111.73 105.04
Last column: nearest neighbours and their distance in Å.
Element x y z (fractional)
Hg1 0.6720 0.6625 0.1745  3 Hg 3.09-3.13
Hg2 0.7776 0.2092 0.2420  2 Hg 3.09-3.18
Hg3 0.2501 0.5642 0.4872  3 Hg 3.09-3.13
Hg4 0.2475 0.9220 0.5096  3 Hg 3.09-3.13
Hg5 0.7935 0.5402 0.5681  2 Hg 3.09-3.18
Hg6 0.9565 0.7098 0.9319  2 Hg 3.09-3.18
Hg7 0.3142 0.3270 0.8141  3 Hg 3.09-3.13
Hg8 0.9724 0.0408 0.2580  2 Hg 3.09-3.18
Hg9 0.6730 0.4871 0.9872  3 Hg 3.09-3.13
Hg10 0.9592 0.2171 0.9315  2 Hg 3.09-3.18
Hg11 0.2371 0.7499 0.3141  3 Hg 3.09-3.13
Hg12 0.0780 0.5875 0.3255  3 Hg 3.09-3.13
Hg13 0.5025 0.3280 0.9904  3 Hg 3.09-3.13
Hg14 0.4598 0.0279 0.2533  2 Hg 3.09-3.18
Hg15 0.4125 0.7379 0.4904  3 Hg 3.09-3.13
Hg16 0.4999 0.6858 0.0128  3 Hg 3.09-3.13
Hg17 0.4644 0.2224 0.4315  2 Hg 3.09-3.18
Hg18 0.9754 0.0435 0.7533  2 Hg 3.09-3.18
Hg19 0.7779 0.0246 0.0681  2 Hg 3.09-3.18
Hg20 0.4358 0.9230 0.6859  3 Hg 3.09-3.13
Hg21 0.7829 0.7144 0.7420  2 Hg 3.09-3.18
Hg22 0.4879 0.4975 0.8255  3 Hg 3.09-3.13
Hg23 0.7746 0.2065 0.7467  2 Hg 3.09-3.18
Hg24 0.2902 0.2221 0.2467  2 Hg 3.09-3.18
Hg25 0.3375 0.5121 0.0096  3 Hg 3.09-3.13
Hg26 0.2621 0.7525 0.6745  3 Hg 3.09-3.13
Hg27 0.7908 0.0329 0.5685  2 Hg 3.09-3.18
Hg28 0.5129 0.5001 0.1859  3 Hg 3.09-3.13
Hg29 0.9721 0.2254 0.4319  2 Hg 3.09-3.18
Hg30 0.2856 0.0276 0.0685  2 Hg 3.09-3.18
Hg31 0.0770 0.7629 0.5128  3 Hg 3.09-3.13
Hg32 0.9671 0.5356 0.7580  2 Hg 3.09-3.18
Rb1 0.2040 0.9772 0.2659  7 Hg 3.76-3.99, 1 Rb 4.15
Rb2 0.5460 0.2728 0.2341  7 Hg 3.76-3.99, 1 Rb 4.15
Rb3 0.0618 0.7960 0.7732  7 Hg 3.76-3.99, 1 Rb 4.15
Rb4 0.2433 0.5383 0.7537  5 Hg 3.68-3.98, 1 Rb 3.99
Rb5 0.8061 0.7628 0.4944  6 Hg 3.87-4.25, 1 Rb 4.32
Rb6 0.5128 0.5184 0.4567  6 Hg 3.87-4.25, 1 Rb 4.32
Rb7 0.9439 0.4872 0.0056  6 Hg 3.87-4.25, 1 Rb 4.32
Rb8 0.4617 0.2154 0.7050  5 Hg 3.68-3.98, 1 Rb 3.99
Rb9 0.0386 0.3118 0.7659  7 Hg 3.76-3.99, 1 Rb 4.15
Rb10 0.5067 0.7117 0.7463  5 Hg 3.68-3.98, 1 Rb 3.99
Rb11 0.6883 0.1939 0.9567  6 Hg 3.87-4.25, 1 Rb 4.32
Rb12 0.2684 0.3117 0.5056  6 Hg 3.87-4.25, 1 Rb 4.32
Rb13 0.2395 0.4933 0.2050  5 Hg 3.68-3.98, 1 Rb 3.99
Rb14 0.4816 0.9383 0.9944  6 Hg 3.87-4.25, 1 Rb 4.32
Rb15 0.7114 0.9382 0.7341  7 Hg 3.76-3.99, 1 Rb 4.15
Rb16 0.0228 0.2886 0.2268  7 Hg 3.76-3.99, 1 Rb 4.15
Rb17 0.2883 0.0346 0.7950  5 Hg 3.68-3.98, 1 Rb 3.99
Rb18 0.2438 0.2438 0.0000  8 Hg 3.74-3.96, 2 Rb 3.99
Rb19 0.7846 0.4895 0.2463  5 Hg 3.68-3.98, 1 Rb 3.99
Rb20 0.7500 0.2500 0.5000  8 Hg 3.97-3.98, 4 Rb 4.33
Rb21 0.9938 0.4938 0.5000  8 Hg 3.74-3.96, 2 Rb 3.99
Rb22 0.7272 0.9614 0.2732  7 Hg 3.76-3.99, 1 Rb 4.15
Rb23 0.9654 0.7605 0.2537  5 Hg 3.68-3.98, 1 Rb 3.99
Rb24 0.5062 0.0062 0.5000  8 Hg 3.74-3.96, 2 Rb 3.99
Rb25 0.0000 0.0000 0.0000  8 Hg 3.97-3.98, 4 Rb 4.33
Rb26 0.2372 0.7316 0.0433  6 Hg 3.87-4.25, 1 Rb 4.32
Rb27 0.0617 0.0561 0.5433  6 Hg 3.87-4.25, 1 Rb 4.32
Rb28 0.6882 0.4540 0.7268  7 Hg 3.76-3.99, 1 Rb 4.15
Rb29 0.5105 0.7567 0.2950  5 Hg 3.68-3.98, 1 Rb 3.99
Rb30 0.7562 0.7562 0.0000  8 Hg 3.74-3.96, 2 Rb 3.99

=====

# 2
Rb2Sn2Hg3S8: relaxed, PBE.

Properties
crystal system = monoclinic
space group = No. 14

a b c (Å): 6.7413 10.3356 13.8185
angles (deg): 82.33 90.00 90.00
Last column: nearest neighbours and their distance in Å.
Element x y z (fractional)
S1 0.2950 0.4188 0.6343  1 Hg 2.38, 1 Sn 2.47
S2 0.8041 0.7662 0.0914  1 Sn 2.43, 1 Hg 2.48
S3 0.6768 0.2246 0.0748  1 Sn 2.43, 1 Hg 2.48
S4 0.1768 0.7754 0.4252  1 Sn 2.43, 1 Hg 2.48
S5 0.1959 0.2338 0.9086  1 Sn 2.43, 1 Hg 2.48
S6 0.2050 0.4188 0.1343  1 Hg 2.38, 1 Sn 2.47
S7 0.7050 0.5812 0.3657  1 Hg 2.38, 1 Sn 2.47
S8 0.1811 0.0316 0.1774  1 Sn 2.39
S9 0.6811 0.9684 0.3226  1 Sn 2.39
S10 0.6959 0.7662 0.5914  1 Sn 2.43, 1 Hg 2.48
S11 0.7950 0.5812 0.8657  1 Hg 2.38, 1 Sn 2.47
S12 0.3189 0.0316 0.6774  1 Sn 2.39
S13 0.8232 0.2246 0.5748  1 Sn 2.43, 1 Hg 2.48
S14 0.3041 0.2338 0.4086  1 Sn 2.43, 1 Hg 2.48
S15 0.3232 0.7754 0.9252  1 Sn 2.43, 1 Hg 2.48
S16 0.8189 0.9684 0.8226  1 Sn 2.39
Rb1 0.8403 0.2780 0.3081  6 S 3.36-3.65
Rb2 0.6597 0.2780 0.8081  6 S 3.36-3.65
Rb3 0.3403 0.7220 0.1919  6 S 3.36-3.65
Rb4 0.1597 0.7220 0.6919  6 S 3.36-3.65
Hg1 0.2039 0.0021 0.8797  3 S 2.48-2.75
Hg2 0.7961 0.9979 0.1203  3 S 2.48-2.75
Hg3 0.2961 0.0021 0.3797  3 S 2.48-2.75
Hg4 0.0000 0.5000 0.0000  2 S 2.38
Hg5 0.7039 0.9979 0.6203  3 S 2.48-2.75
Hg6 0.5000 0.5000 0.5000  2 S 2.38
Sn1 0.6831 0.7851 0.9244  4 S 2.39-2.47
Sn2 0.8169 0.7851 0.4244  4 S 2.39-2.47
Sn3 0.1831 0.2149 0.5756  4 S 2.39-2.47
Sn4 0.3169 0.2149 0.0756  4 S 2.39-2.47

=====

Number 1: DFT total energy -0.86 eV per atom, M_tot 0.24 μB/cell, energy of formation from the pure elements -223.9 meV per atom. Number 2: DFT total energy -3.46 eV per atom, M_tot 0.01 μB/cell, energy of formation from the pure elements -794.1 meV per atom.